Below is GaSbO4 after structural relaxation, with properties calculated at the r2SCAN level.

a = 4.5972 Å, b = 4.5972 Å, c = 3.0652 Å
α = 90.00°, β = 90.00°, γ = 91.98°
Closest atoms and distances in Å follow each position.
Fractional positions:
O 0.6937 0.6937 0.0000  1 Sb 1.96, 2 Ga 1.97
O 0.8053 0.1947 0.5000  2 Sb 2.00, 1 Ga 2.02
O 0.1947 0.8053 0.5000  2 Sb 2.00, 1 Ga 2.02
O 0.3063 0.3063 0.0000  1 Sb 1.96, 2 Ga 1.97
Sb 0.0000 0.0000 0.0000  6 O 1.96-2.00
Ga 0.5000 0.5000 0.5000  6 O 1.97-2.02

## Properties
**V**: 10.790 Å³/atom
**Formation energy from the elements**: -1.83 eV per atom
**Symmetry**: Cmmm, No. 65
**Total magnetic moment**: 0.0000 μB/atom
**Raw total energy**: -72.019 eV for the cell shown